[1]
Tm8S11: relaxed, PBE.

```
Tm8S11
1.0
1.876 -6.342 0.000
1.876 6.342 0.000
0.000 0.000 35.085
Tm S
16 22
Cartesian
1.876 -0.134 8.771
1.876 0.134 26.314
1.876 6.101 12.882
1.876 3.082 2.034
1.876 -6.101 22.203
1.876 -3.082 33.051
1.876 6.101 4.660
1.876 -3.082 19.576
1.876 -6.101 30.425
1.876 -3.296 11.124
1.876 3.296 23.961
1.876 -3.296 6.419
1.876 3.296 28.666
0.000 0.000 17.543
0.000 0.000 0.000
1.876 3.082 15.509
1.876 1.863 18.106
1.876 2.093 31.169
1.876 5.198 19.943
1.876 1.308 5.715
1.876 -4.888 27.951
1.876 1.308 11.827
1.876 1.863 34.522
1.876 -5.198 15.142
1.876 4.888 7.134
1.876 2.093 21.459
1.876 -1.308 29.370
1.876 -1.308 23.258
1.876 -4.888 24.677
1.876 -1.863 0.563
1.876 4.888 10.408
1.876 -2.093 13.626
1.876 -4.534 8.771
1.876 5.198 32.684
1.876 -1.863 16.979
1.876 -2.093 3.917
1.876 4.534 26.314
1.876 -5.198 2.401
```

The value obtained for the formation enthalpy at 0 K is -2332 meV/atom. The theoretical density is 6.8 g/cm3. The volume comes out at 21.98 Å³/atom.

[2]
Tm2S3: relaxed, PBE.

```
Tm2S3
1.0
3.886 0.000 0.000
0.000 10.899 0.000
0.000 3.605 10.556
Tm S
8 12
Cartesian
0.972 5.662 2.008
2.915 8.701 4.396
2.915 12.568 7.054
0.972 1.936 3.502
0.972 8.918 0.029
0.972 5.803 6.161
2.915 5.586 10.527
2.915 8.842 8.548
0.972 7.720 10.167
0.972 8.435 2.643
2.915 6.008 4.241
0.972 3.144 5.949
2.915 11.360 4.607
0.972 11.016 8.201
2.915 13.847 9.361
2.915 6.784 0.390
2.915 6.069 7.913
2.915 3.488 2.355
0.972 8.496 6.316
0.972 0.657 1.195
```

The value obtained for the formation enthalpy at 0 K is -2352 meV/atom. The theoretical density is 6.4 g/cm3. The volume comes out at 22.36 Å³/atom.

[3]
Tm2S3: relaxed, PBE.

```
Tm2S3
1.0
10.750 0.018 1.576
-4.362 8.779 4.685
-4.290 -8.961 4.398
Tm S
16 24
Cartesian
-2.403 -1.902 6.337
1.343 3.921 5.690
4.500 1.738 4.322
-2.275 -6.753 5.524
5.375 0.009 0.788
1.049 -0.082 5.330
8.275 0.405 3.558
-3.056 6.118 5.876
4.409 -2.281 4.991
5.153 -6.282 4.783
4.373 6.589 5.135
-2.181 4.389 2.343
0.755 -4.085 4.969
-6.177 -0.569 7.101
-2.311 2.117 5.668
-2.145 -4.481 2.199
2.705 -0.392 0.721
5.954 -3.991 3.571
-3.856 3.827 7.088
3.274 -4.605 5.811
-0.608 0.227 9.938
1.848 2.010 3.821
-4.956 -2.573 5.740
4.053 3.968 5.789
0.250 -2.174 6.838
-3.620 0.347 7.243
3.416 1.846 9.171
2.769 -2.510 9.232
5.717 -0.511 3.416
-0.672 2.346 1.428
0.366 -6.514 6.098
0.084 1.865 6.933
1.732 6.350 4.561
-1.177 4.441 4.849
-1.956 -4.132 4.870
3.599 0.002 6.212
-1.502 -0.166 4.447
-1.318 -2.010 1.488
2.014 -2.029 3.726
7.054 2.409 4.919
```

The value obtained for the formation enthalpy at 0 K is -2378 meV/atom. The theoretical density is 5.8 g/cm3. The volume comes out at 24.68 Å³/atom.

[4]
Tm2S3: relaxed, PBE.

```
Tm2S3
1.0
3.405 -5.898 0.000
3.405 5.898 0.000
0.000 0.000 18.556
Tm S
12 18
Cartesian
3.405 1.966 5.423
3.405 -1.966 5.423
3.405 1.966 9.112
3.405 1.966 14.701
3.405 -1.966 14.701
0.000 0.000 12.200
0.000 0.000 8.445
0.000 0.000 2.922
3.405 -1.966 18.390
3.405 -1.966 9.112
0.000 0.000 17.723
3.405 1.966 18.390
2.150 3.723 7.333
2.249 3.896 13.434
2.382 4.126 0.966
4.765 0.000 10.244
2.382 -4.126 0.966
2.511 0.000 7.333
1.023 1.771 10.244
1.023 -1.771 10.244
1.156 -2.002 4.156
2.312 0.000 13.434
1.255 -2.175 16.611
4.499 0.000 4.156
2.249 -3.896 13.434
2.045 0.000 0.966
2.150 -3.723 7.333
1.156 2.002 4.156
4.299 0.000 16.611
1.255 2.175 16.611
```

The value obtained for the formation enthalpy at 0 K is -2325 meV/atom. The theoretical density is 5.8 g/cm3. The volume comes out at 24.84 Å³/atom.

Q: Which value of theoretical density does entry 3 give?
A: 5.8 g/cm3